Version one
A geometry-optimized VP4O12 structure, computed with PBE with a Hubbard U.

Unit cell a=16.901 b=12.539 c=5.243 alpha=90.00 beta=100.94 gamma=90.00
Space group C2/m (No. 12)
One atom of each set of equivalent atoms:
V 0.250 0.250 0.000 [4 per cell]
P 0.078 0.217 0.177 [8 per cell]
P 0.187 0.380 0.463 [8 per cell]
O 0.000 0.273 0.000 [4 per cell]
O 0.063 0.120 0.314 [8 per cell]
O 0.103 0.320 0.371 [8 per cell]
O 0.143 0.217 0.003 [8 per cell]
O 0.159 0.500 0.395 [4 per cell]
O 0.213 0.371 0.754 [8 per cell]
O 0.247 0.346 0.301 [8 per cell]

Version two
A geometry-optimized VP4O12 structure, computed with PBE with a Hubbard U.

Unit cell a=12.867 b=8.411 c=9.195 alpha=90.00 beta=90.00 gamma=90.00
Space group Pbcn (No. 60)
One atom of each set of equivalent atoms:
V 0.000 0.145 0.250 [4 per cell]
P 0.146 0.316 0.007 [8 per cell]
P 0.148 0.036 0.516 [8 per cell]
O 0.067 0.026 0.635 [8 per cell]
O 0.073 0.298 0.139 [8 per cell]
O 0.114 0.406 0.879 [8 per cell]
O 0.116 0.131 0.382 [8 per cell]
O 0.185 0.135 0.965 [8 per cell]
O 0.248 0.118 0.584 [8 per cell]

Values from the calculation:
Total magnetization: 0.059 μB/atom

Version three
A geometry-optimized VP4O12 structure, computed with PBE with a Hubbard U.

Unit cell a=9.058 b=10.331 c=9.258 alpha=90.00 beta=90.87 gamma=90.00
Space group P2_1/c (No. 14)
One atom of each set of equivalent atoms:
V 0.247 0.213 0.487 [4 per cell]
P 0.047 0.104 0.211 [4 per cell]
P 0.250 0.622 0.709 [4 per cell]
P 0.252 0.014 0.765 [4 per cell]
P 0.441 0.110 0.210 [4 per cell]
O 0.092 0.143 0.364 [4 per cell]
O 0.096 0.204 0.101 [4 per cell]
O 0.097 0.535 0.666 [4 per cell]
O 0.127 0.589 0.301 [4 per cell]
O 0.239 0.060 0.610 [4 per cell]
O 0.248 0.730 0.605 [4 per cell]
O 0.256 0.122 0.875 [4 per cell]
O 0.268 0.623 0.867 [4 per cell]
O 0.375 0.516 0.642 [4 per cell]
O 0.387 0.581 0.288 [4 per cell]
O 0.394 0.138 0.364 [4 per cell]
O 0.410 0.222 0.108 [4 per cell]

Values from the calculation:
Total magnetization: 0.059 μB/atom

Which structure is the least stable? The one labeled version three.